An optimized crystal structure of MgFe4O4F4. Source: Materials Project, functional PBE with a Hubbard U.

a b c (Å): 3.0654 5.1270 9.8158
angles (deg): 84.26 89.97 89.99
Atoms (fractional coordinates):
Mg 0.0000 0.0000 0.0000
Fe 0.0012 0.4992 0.0081
Fe 0.0061 0.5367 0.4983
Fe 0.5037 0.0237 0.2740
Fe 0.5038 0.9282 0.7280
O 0.0041 0.7630 0.6574
O 0.5007 0.2309 0.0739
O 0.5016 0.7627 0.9231
O 0.5058 0.7105 0.4158
F 0.0021 0.1762 0.8135
F 0.0025 0.7748 0.1711
F 0.0044 0.2436 0.3612
F 0.5046 0.2811 0.5936

Properties
VASP energy = -5.953 eV per atom

=====

An optimized crystal structure of MgFe4O4F4. Source: Materials Project, functional PBE with a Hubbard U.

a b c (Å): 3.0292 5.3822 10.0600
angles (deg): 101.75 90.46 90.43
Atoms (fractional coordinates):
Mg 0.0000 0.0000 0.0000
Fe 0.0051 0.1794 0.2846
Fe 0.0150 0.2275 0.7165
Fe 0.5018 0.4942 0.0278
Fe 0.5122 0.6906 0.5126
O 0.0075 0.4954 0.4035
O 0.0133 0.2974 0.9138
O 0.0170 0.8919 0.5991
O 0.5026 0.1994 0.1517
F 0.4959 0.8031 0.9127
F 0.5054 0.0052 0.3708
F 0.5154 0.4405 0.6436
F 0.9882 0.7505 0.1303

Properties
VASP energy = -5.969 eV per atom

=====

An optimized crystal structure of MgFe4O4F4. Source: Materials Project, functional PBE with a Hubbard U.

a b c (Å): 5.6626 5.8257 5.8985
angles (deg): 61.45 85.89 86.47
Atoms (fractional coordinates):
Mg 0.0000 0.0000 0.0000
Fe 0.0964 0.7330 0.5770
Fe 0.4147 0.2475 0.0753
Fe 0.5707 0.7612 0.9164
Fe 0.8921 0.2860 0.4139
O 0.1217 0.0781 0.2774
O 0.3747 0.6203 0.7582
O 0.6227 0.4322 0.1981
O 0.8741 0.8950 0.7372
F 0.0956 0.6326 0.2774
F 0.3290 0.0567 0.8369
F 0.6679 0.9422 0.1398
F 0.9252 0.3802 0.7350

Properties
VASP energy = -6.000 eV per atom

=====

An optimized crystal structure of MgFe6O10F2. Source: Materials Project, functional PBE with a Hubbard U.

a b c (Å): 5.1301 5.7144 7.5184
angles (deg): 82.81 84.47 81.64
Atoms (fractional coordinates):
Mg 0.0000 0.0000 0.0000
Fe 0.0653 0.0284 0.5163
Fe 0.0821 0.3988 0.1877
Fe 0.5030 0.1719 0.8198
Fe 0.5029 0.4850 0.4950
Fe 0.5146 0.8367 0.1714
Fe 0.9380 0.6028 0.7965
O 0.1449 0.3212 0.9296
O 0.1798 0.0324 0.2488
O 0.1808 0.6912 0.5886
O 0.3417 0.1916 0.5944
O 0.3665 0.5451 0.2556
O 0.6276 0.1245 0.0569
O 0.6542 0.4619 0.7285
O 0.8463 0.9676 0.7470
O 0.8518 0.3143 0.4032
O 0.8600 0.6729 0.0641
F 0.3505 0.8441 0.9242
F 0.6638 0.7996 0.4055

Properties
VASP energy = -6.209 eV per atom

=====

An optimized crystal structure of MgFe6O10F2. Source: Materials Project, functional PBE with a Hubbard U.

a b c (Å): 5.6966 5.9355 7.5528
angles (deg): 107.48 98.30 111.61
Atoms (fractional coordinates):
Mg 0.0000 0.0000 0.0000
Fe 0.3500 0.5292 0.3500
Fe 0.3771 0.9354 0.7840
Fe 0.6329 0.0753 0.2126
Fe 0.6682 0.4836 0.6557
Fe 0.9934 0.4976 0.9803
Fe 0.9947 0.0528 0.5250
O 0.0293 0.1768 0.3047
O 0.2826 0.8599 0.0158
O 0.3624 0.1575 0.6365
O 0.4316 0.6496 0.6281
O 0.5912 0.3630 0.3842
O 0.6357 0.8505 0.3554
O 0.7307 0.1533 0.9818
O 0.7400 0.6273 0.9231
O 0.9153 0.3383 0.6946
O 0.9837 0.8528 0.6942
F 0.0835 0.6542 0.2746
F 0.2654 0.3609 0.0481

Properties
VASP energy = -6.208 eV per atom

=====

An optimized crystal structure of MgFe6O11F. Source: Materials Project, functional PBE with a Hubbard U.

a b c (Å): 5.7458 5.9052 7.1014
angles (deg): 68.98 74.23 81.64
Atoms (fractional coordinates):
Mg 0.0000 0.0000 0.0000
Fe 0.0397 0.4509 0.4903
Fe 0.3185 0.8428 0.6503
Fe 0.4235 0.7692 0.1625
Fe 0.5841 0.2508 0.8247
Fe 0.6349 0.1839 0.3426
Fe 0.9990 0.5131 0.9833
O 0.0878 0.6338 0.1923
O 0.2535 0.6925 0.4553
O 0.2884 0.1785 0.4811
O 0.3511 0.5153 0.8396
O 0.3744 0.9853 0.8881
O 0.6253 0.0433 0.1156
O 0.6407 0.8596 0.5180
O 0.6533 0.5034 0.1412
O 0.7395 0.3046 0.5298
O 0.9201 0.3543 0.7965
O 0.9947 0.8414 0.7973
F 0.0195 0.1657 0.1893

Properties
VASP energy = -6.225 eV per atom

=====

An optimized crystal structure of MgFe12O12F12. Source: Materials Project, functional PBE with a Hubbard U.

a b c (Å): 9.9346 3.1182 14.3800
angles (deg): 90.00 95.20 90.00
Atoms (fractional coordinates):
Mg 0.0000 0.0000 0.0000
Fe 0.0050 0.0000 0.5072
Fe 0.0696 0.0000 0.7625
Fe 0.2413 0.5000 0.3714
Fe 0.2697 0.5000 0.9193
Fe 0.2708 0.5000 0.6538
Fe 0.4967 0.0000 0.1503
Fe 0.5198 0.0000 0.4887
Fe 0.5369 0.0000 0.8237
Fe 0.7065 0.5000 0.0028
Fe 0.7071 0.5000 0.3301
Fe 0.7619 0.5000 0.6384
Fe 0.9791 0.0000 0.1987
O 0.0887 0.5000 0.4404
O 0.1477 0.0000 0.9202
O 0.1625 0.0000 0.6131
O 0.1963 0.5000 0.7762
O 0.3470 0.0000 0.4045
O 0.4437 0.5000 0.8715
O 0.5865 0.5000 0.0954
O 0.5953 0.5000 0.4331
O 0.6309 0.0000 0.2628
O 0.6598 0.0000 0.5978
O 0.6721 0.0000 0.9286
O 0.9165 0.5000 0.5684
F 0.0554 0.5000 0.1003
F 0.1535 0.0000 0.2754
F 0.3581 0.0000 0.0285
F 0.3898 0.5000 0.2010
F 0.4045 0.0000 0.7071
F 0.4114 0.5000 0.5593
F 0.6384 0.5000 0.7605
F 0.8315 0.0000 0.3981
F 0.8369 0.0000 0.0815
F 0.8709 0.0000 0.7305
F 0.8781 0.5000 0.2504
F 0.9027 0.5000 0.9437

Properties
VASP energy = -5.980 eV per atom

=====

An optimized crystal structure of MgFe12O12F12. Source: Materials Project, functional PBE with a Hubbard U.

a b c (Å): 9.8140 3.0988 14.5489
angles (deg): 90.00 90.95 90.00
Atoms (fractional coordinates):
Mg 0.0000 0.0000 0.0000
Fe 0.2463 0.5000 0.3467
Fe 0.2782 0.5000 0.6755
Fe 0.2911 0.5000 0.0104
Fe 0.4831 0.0000 0.8421
Fe 0.4959 0.0000 0.1737
Fe 0.5027 0.0000 0.5252
Fe 0.7314 0.5000 0.0318
Fe 0.7430 0.5000 0.6687
Fe 0.7548 0.5000 0.3482
Fe 0.9671 0.0000 0.1916
Fe 0.9754 0.0000 0.5062
Fe 0.9819 0.0000 0.7392
O 0.1678 0.0000 0.7279
O 0.3521 0.0000 0.6056
O 0.3565 0.0000 0.9460
O 0.4068 0.5000 0.1189
O 0.4149 0.5000 0.7783
O 0.6039 0.5000 0.5752
O 0.6518 0.0000 0.0906
O 0.8234 0.0000 0.2849
O 0.8608 0.0000 0.6234
O 0.8867 0.5000 0.7753
O 0.8887 0.5000 0.4504
O 0.9193 0.5000 0.0851
F 0.0871 0.5000 0.5694
F 0.0923 0.5000 0.2458
F 0.0951 0.5000 0.9389
F 0.1410 0.0000 0.4150
F 0.1715 0.0000 0.0761
F 0.3508 0.0000 0.2801
F 0.4098 0.5000 0.4462
F 0.5834 0.5000 0.2540
F 0.5950 0.5000 0.9138
F 0.6393 0.0000 0.4113
F 0.6503 0.0000 0.7424
F 0.8152 0.0000 0.9480

Properties
VASP energy = -6.005 eV per atom